# GGA-PBE Si2Bi14RhI12, relaxed
# Mass density, kg/m³: 6647
# Energy of formation from the pure elements, eV/atom: -0.293
# Crystal system: tetragonal
data_Si2Bi14RhI12
_space_group_name_H-M_alt 'P 4/m c c'
_space_group_IT_number 124
_space_group_name_Hall '-P 4 2c'
_cell_length_a 10.515
_cell_length_b 10.515
_cell_length_c 20.822
_cell_angle_alpha 90.00
_cell_angle_beta 90.00
_cell_angle_gamma 90.00
loop_
_atom_site_label
_atom_site_fract_x
_atom_site_fract_y
_atom_site_fract_z
Si1 0.000 0.000 0.096
Bi1 0.087 0.199 0.182
Bi2 0.250 0.445 0.500
Bi3 0.500 0.500 0.129
Rh1 0.500 0.500 0.000
I1 0.133 0.277 0.000
I2 0.202 0.437 0.348

=====

# GGA-PBE CePrO4, relaxed
# Mass density, kg/m³: 6553
# Energy of formation from the pure elements, eV/atom: -3.464
# Crystal system: tetragonal
data_CePrO4
_space_group_name_H-M_alt 'P 4/m m m'
_space_group_IT_number 123
_space_group_name_Hall '-P 4 2'
_cell_length_a 3.933
_cell_length_b 3.933
_cell_length_c 5.652
_cell_angle_alpha 90.00
_cell_angle_beta 90.00
_cell_angle_gamma 90.00
loop_
_atom_site_label
_atom_site_fract_x
_atom_site_fract_y
_atom_site_fract_z
Ce1 0.000 0.000 0.000
Pr1 0.500 0.500 0.500
O1 0.000 0.500 0.237

=====

# GGA-PBE LuBi, relaxed
# Mass density, kg/m³: 10502
# Energy of formation from the pure elements, eV/atom: -0.722
# Crystal system: cubic
data_LuBi
_space_group_name_H-M_alt 'F m -3 m'
_space_group_IT_number 225
_space_group_name_Hall '-F 4 2 3'
_cell_length_a 6.239
_cell_length_b 6.239
_cell_length_c 6.239
_cell_angle_alpha 90.00
_cell_angle_beta 90.00
_cell_angle_gamma 90.00
loop_
_atom_site_label
_atom_site_fract_x
_atom_site_fract_y
_atom_site_fract_z
Lu1 0.000 0.000 0.000
Bi1 0.000 0.000 0.500

=====

What is the formula in the first record? Si2Bi14RhI12